4
Lattice="-1.811 2.034 4.564 -4.996 1.787 0.316 -3.602 -2.669 2.855" Properties=species:S:1:pos:R:3 comment="ErTmMg2, optimized geometry, DFT PBE" volume_a3_per_atom=26.542 delta_e_f_ev_per_atom=-0.061 density_g_cm3=6.0 e_tot_ev_per_atom=-3.122 pbc="T T T"
Er -5.205 0.576 3.867
Tm 0.000 0.000 0.000
Mg -2.602 0.288 1.934
Mg -7.807 0.864 5.801